No. 1
Here is an optimized crystal structure of Zr2SeN2 from Materials Project. Energies are from PBE.

## Properties
DFT formation energy (kJ per mole of atoms): -165.4

Cell and atoms, written as CIF:
```
data_Zr2SeN2
_chemical_formula_sum 'Zr4 Se2 N4'
_cell_length_a 3.6837
_cell_length_b 3.6837
_cell_length_c 13.3242
_cell_angle_alpha 90.00
_cell_angle_beta 90.00
_cell_angle_gamma 120.00
_space_group_name_H-M_alt 'P 63/m m c'
_space_group_IT_number 194
_space_group_name_Hall '-P 6c 2c'
loop_
_atom_site_label
_atom_site_fract_x
_atom_site_fract_y
_atom_site_fract_z
Zr1 0.3333 0.6667 0.0985
Se1 0.0000 0.0000 0.2500
N1 0.3333 0.6667 0.5669
```

---

No. 2
Here is an optimized crystal structure of Te4Mo3 from Materials Project. Energies are from PBE.

## Properties
DFT formation energy (kJ per mole of atoms): -24.4

Cell and atoms, written as CIF:
```
data_Te4Mo3
_chemical_formula_sum 'Te24 Mo18'
_cell_length_a 10.3418
_cell_length_b 10.3418
_cell_length_c 11.9693
_cell_angle_alpha 90.00
_cell_angle_beta 90.00
_cell_angle_gamma 120.00
_space_group_name_H-M_alt 'R -3'
_space_group_IT_number 148
_space_group_name_Hall '-R 3'
loop_
_atom_site_label
_atom_site_fract_x
_atom_site_fract_y
_atom_site_fract_z
Te1 0.0000 0.0000 0.2145
Te2 0.0058 0.3709 0.2528
Mo1 0.0151 0.1578 0.4040
```

---

No. 3
Here is an optimized crystal structure of CaCO3 from Materials Project. Energies are from PBE.

## Properties
DFT formation energy (kJ per mole of atoms): -259.2

Cell and atoms, written as CIF:
```
data_CaCO3
_chemical_formula_sum 'Ca4 C4 O12'
_cell_length_a 6.4437
_cell_length_b 5.0670
_cell_length_c 8.1314
_cell_angle_alpha 90.00
_cell_angle_beta 107.60
_cell_angle_gamma 90.00
_space_group_name_H-M_alt 'P 1 21/c 1'
_space_group_IT_number 14
loop_
_space_group_symop_operation_xyz
'x,y,z'
'-x,-y,-z'
'-x,y+1/2,-z+1/2'
'x,-y+1/2,z+1/2'
loop_
_atom_site_label
_atom_site_fract_x
_atom_site_fract_y
_atom_site_fract_z
Ca1 0.2428 0.2451 0.2333
C1 0.2537 0.7467 0.4986
O1 0.1282 0.5996 0.3779
O2 0.2416 0.0020 0.4848
O3 0.3868 0.6376 0.6341
```

---

No. 4
Here is an optimized crystal structure of As from Materials Project. Energies are from PBE.

## Properties
Energy relative to the lowest polymorph listed for this composition (eV per atom): 0.023
DFT formation energy (kJ per mole of atoms): 2.2

Cell and atoms, written as CIF:
```
data_As
_chemical_formula_sum 'As8'
_cell_length_a 3.7065
_cell_length_b 11.4412
_cell_length_c 4.6864
_cell_angle_alpha 90.00
_cell_angle_beta 90.00
_cell_angle_gamma 90.00
_space_group_name_H-M_alt 'C m c e'
_space_group_IT_number 64
_space_group_name_Hall '-C 2ac 2'
loop_
_atom_site_label
_atom_site_fract_x
_atom_site_fract_y
_atom_site_fract_z
As1 0.0000 0.1059 0.0686
```

---

No. 5
Here is an optimized crystal structure of CdHg4Se5 from Materials Project. Energies are from PBE.

## Properties
Energy relative to the lowest polymorph listed for this composition (eV per atom): 0.164
Magnetization (μB per cell): 0.05
DFT formation energy (kJ per mole of atoms): -33.9

Cell and atoms, written as CIF:
```
data_CdHg4Se5
_chemical_formula_sum 'Cd3 Hg12 Se15'
_cell_length_a 4.1083
_cell_length_b 4.1083
_cell_length_c 50.2804
_cell_angle_alpha 90.00
_cell_angle_beta 90.00
_cell_angle_gamma 120.00
_space_group_name_H-M_alt 'R -3 m'
_space_group_IT_number 166
_space_group_name_Hall '-R 3 2"'
loop_
_atom_site_label
_atom_site_fract_x
_atom_site_fract_y
_atom_site_fract_z
Cd1 0.0000 0.0000 0.0000
Hg1 0.0000 0.0000 0.2000
Hg2 0.0000 0.0000 0.4002
Se1 0.0000 0.0000 0.0999
Se2 0.0000 0.0000 0.3007
Se3 0.0000 0.0000 0.5000
```

---

No. 6
Here is an optimized crystal structure of KNaB2H8 from Materials Project. Energies are from PBE.

## Properties
Energy relative to the lowest polymorph listed for this composition (eV per atom): 0.007
Magnetization (μB per cell): 0.00
DFT formation energy (kJ per mole of atoms): -45.0
Largest piezoelectric modulus (C/m²): 0.231

Cell and atoms, written as CIF:
```
data_KNaB2H8
_chemical_formula_sum 'K1 Na1 B2 H8'
_cell_length_a 4.7035
_cell_length_b 4.7035
_cell_length_c 7.2944
_cell_angle_alpha 90.00
_cell_angle_beta 90.00
_cell_angle_gamma 120.00
_space_group_name_H-M_alt 'P 3 m 1'
_space_group_IT_number 156
loop_
_space_group_symop_operation_xyz
'x,y,z'
'-y,x-y,z'
'-x+y,-x,z'
'-y,-x,z'
'-x+y,y,z'
'x,x-y,z'
loop_
_atom_site_label
_atom_site_fract_x
_atom_site_fract_y
_atom_site_fract_z
K1 0.0000 0.0000 0.0000
Na1 0.3333 0.6667 0.5309
B1 0.3333 0.6667 0.1810
B2 0.6667 0.3333 0.6906
H1 0.0482 0.5241 0.2359
H2 0.3333 0.6667 0.0126
H3 0.3818 0.1909 0.6333
H4 0.6667 0.3333 0.8585
```

---

No. 7
Here is an optimized crystal structure of LaCeRh4 from Materials Project. Energies are from PBE.

## Properties
DFT formation energy (kJ per mole of atoms): -66.7

Cell and atoms, written as CIF:
```
data_LaCeRh4
_chemical_formula_sum 'La4 Ce4 Rh16'
_cell_length_a 7.6395
_cell_length_b 7.6395
_cell_length_c 7.6395
_cell_angle_alpha 90.00
_cell_angle_beta 90.00
_cell_angle_gamma 90.00
_space_group_name_H-M_alt 'F -4 3 m'
_space_group_IT_number 216
_space_group_name_Hall 'F -4 2 3'
loop_
_atom_site_label
_atom_site_fract_x
_atom_site_fract_y
_atom_site_fract_z
La1 0.0000 0.0000 0.0000
Ce1 0.2500 0.2500 0.2500
Rh1 0.1248 0.1248 0.6248
```

---

No. 8
Here is an optimized crystal structure of In6Se7 from Materials Project. Energies are from PBE.

## Properties
DFT formation energy (kJ per mole of atoms): -69.9

Cell and atoms, written as CIF:
```
data_In6Se7
_chemical_formula_sum 'In12 Se14'
_cell_length_a 9.5784
_cell_length_b 4.1245
_cell_length_c 18.2421
_cell_angle_alpha 90.00
_cell_angle_beta 101.28
_cell_angle_gamma 90.00
_space_group_name_H-M_alt 'P 1 21/m 1'
_space_group_IT_number 11
loop_
_space_group_symop_operation_xyz
'x,y,z'
'-x,-y,-z'
'-x,y+1/2,-z'
'x,-y+1/2,z'
loop_
_atom_site_label
_atom_site_fract_x
_atom_site_fract_y
_atom_site_fract_z
In1 0.0202 0.2500 0.1028
In2 0.0658 0.2500 0.6226
In3 0.1801 0.7500 0.3127
In4 0.3262 0.2500 0.9681
In5 0.3541 0.7500 0.5463
In6 0.4693 0.2500 0.7749
Se1 0.1180 0.2500 0.8450
Se2 0.1649 0.2500 0.4940
Se3 0.1692 0.7500 0.0323
Se4 0.2417 0.2500 0.2278
Se5 0.2466 0.7500 0.6772
Se6 0.4432 0.7500 0.4088
Se7 0.4663 0.7500 0.9083
```

---

No. 9
Here is an optimized crystal structure of SmGdIn2 from Materials Project. Energies are from PBE.

## Properties
Magnetization (μB per cell): 5.40
DFT formation energy (kJ per mole of atoms): 75.8

Cell and atoms, written as CIF:
```
data_SmGdIn2
_chemical_formula_sum 'Sm4 Gd4 In8'
_cell_length_a 7.6418
_cell_length_b 7.6418
_cell_length_c 7.6418
_cell_angle_alpha 90.00
_cell_angle_beta 90.00
_cell_angle_gamma 90.00
_space_group_name_H-M_alt 'F m -3 m'
_space_group_IT_number 225
_space_group_name_Hall '-F 4 2 3'
loop_
_atom_site_label
_atom_site_fract_x
_atom_site_fract_y
_atom_site_fract_z
Sm1 0.0000 0.0000 0.0000
Gd1 0.0000 0.0000 0.5000
In1 0.2500 0.2500 0.2500
```

---

No. 10
Here is an optimized crystal structure of Cs2RbDyCl6 from Materials Project. Energies are from PBE.

## Properties
Magnetization (μB per cell): 0.00
DFT formation energy (kJ per mole of atoms): -241.7

Cell and atoms, written as CIF:
```
data_Cs2RbDyCl6
_chemical_formula_sum 'Cs8 Rb4 Dy4 Cl24'
_cell_length_a 11.5670
_cell_length_b 11.5670
_cell_length_c 11.5670
_cell_angle_alpha 90.00
_cell_angle_beta 90.00
_cell_angle_gamma 90.00
_space_group_name_H-M_alt 'F m -3 m'
_space_group_IT_number 225
_space_group_name_Hall '-F 4 2 3'
loop_
_atom_site_label
_atom_site_fract_x
_atom_site_fract_y
_atom_site_fract_z
Cs1 0.2500 0.2500 0.2500
Rb1 0.0000 0.0000 0.0000
Dy1 0.0000 0.0000 0.5000
Cl1 0.0000 0.0000 0.2717
```

---

No. 11
Here is an optimized crystal structure of KDyH2S2O9 from Materials Project. Energies are from PBE.

## Properties
Energy relative to the lowest polymorph listed for this composition (eV per atom): 0.000
Magnetization (μB per cell): 0.00
DFT formation energy (kJ per mole of atoms): -221.4

Cell and atoms, written as CIF:
```
data_KDyH2S2O9
_chemical_formula_sum 'K4 Dy4 H8 S8 O36'
_cell_length_a 10.1959
_cell_length_b 8.5573
_cell_length_c 10.4570
_cell_angle_alpha 90.00
_cell_angle_beta 119.39
_cell_angle_gamma 90.00
_space_group_name_H-M_alt 'P 1 21/c 1'
_space_group_IT_number 14
loop_
_space_group_symop_operation_xyz
'x,y,z'
'-x,-y,-z'
'-x,y+1/2,-z+1/2'
'x,-y+1/2,z+1/2'
loop_
_atom_site_label
_atom_site_fract_x
_atom_site_fract_y
_atom_site_fract_z
K1 0.2134 0.1983 0.2038
Dy1 0.2520 0.6455 0.0288
H1 0.3021 0.5107 0.4726
H2 0.4095 0.5532 0.6342
S1 0.0523 0.6401 0.1726
S2 0.4913 0.2070 0.6059
O1 0.0476 0.7461 0.0559
O2 0.0754 0.7305 0.3025
O3 0.0937 0.0561 0.3842
O4 0.1789 0.5299 0.2075
O5 0.3087 0.5762 0.5529
O6 0.3755 0.6347 0.8949
O7 0.3966 0.0818 0.6184
O8 0.4045 0.1973 0.9743
O9 0.4544 0.6956 0.2585
```

---

No. 12
Here is an optimized crystal structure of SiO2 from Materials Project. Energies are from PBE.

## Properties
Magnetization (μB per cell): 0.02
DFT formation energy (kJ per mole of atoms): -312.5

Cell and atoms, written as CIF:
```
data_SiO2
_chemical_formula_sum 'Si40 O80'
_cell_length_a 8.7393
_cell_length_b 8.7393
_cell_length_c 27.9385
_cell_angle_alpha 90.00
_cell_angle_beta 90.00
_cell_angle_gamma 90.00
_space_group_name_H-M_alt 'P 4/n n c'
_space_group_IT_number 126
loop_
_space_group_symop_operation_xyz
'x,y,z'
'-x,-y,-z'
'-y+1/2,x,z'
'y+1/2,-x,-z'
'-x+1/2,-y+1/2,z'
'x+1/2,y+1/2,-z'
'y,-x+1/2,z'
'-y,x+1/2,-z'
'x,-y+1/2,-z+1/2'
'-x,y+1/2,z+1/2'
'-y+1/2,-x+1/2,-z+1/2'
'y+1/2,x+1/2,z+1/2'
'-x+1/2,y,-z+1/2'
'x+1/2,-y,z+1/2'
'y,x,-z+1/2'
'-y,-x,z+1/2'
loop_
_atom_site_label
_atom_site_fract_x
_atom_site_fract_y
_atom_site_fract_z
Si1 0.0034 0.1823 0.1806
Si2 0.0043 0.1844 0.0703
Si3 0.2500 0.7500 0.0000
Si4 0.2500 0.7500 0.2500
O1 0.0546 0.6660 0.6253
O2 0.0633 0.1416 0.4393
O3 0.0625 0.1429 0.3095
O4 0.1358 0.6491 0.5338
O5 0.1399 0.6442 0.7159
```